InRh3PbS2 | PBE | relaxed

Symmetry ... R-3m
Formation enthalpy at 0 K ... -0.58 eV per atom

Unit cell a=5.728 b=5.728 c=5.728 alpha=60.19 beta=60.19 gamma=60.19
Atoms (fractional coordinates):
Rh: 0.500 0.000 0.500
Rh: 0.000 0.500 0.500
Rh: 0.500 0.500 0.000
Pb: 0.500 0.500 0.500
In: 0.000 0.000 0.000
S: 0.782 0.782 0.782
S: 0.218 0.218 0.218

Ba2SmMgCu3O7 | PBE | relaxed

Symmetry ... Pmm2
Formation enthalpy at 0 K ... -2.01 eV per atom

Unit cell a=3.731 b=3.993 c=14.025 alpha=90.00 beta=90.00 gamma=90.00
Atoms (fractional coordinates):
Ba: 0.500 0.500 0.209
Ba: 0.500 0.500 0.741
O: 0.000 0.000 0.846
O: 0.500 0.000 0.610
O: 0.000 0.500 0.598
O: 0.000 0.500 0.375
O: 0.000 0.000 0.200
O: 0.000 0.500 0.027
O: 0.500 0.000 0.393
Cu: 0.000 0.000 0.599
Cu: 0.000 0.000 0.062
Cu: 0.000 0.000 0.359
Mg: 0.500 0.000 0.929
Sm: 0.500 0.500 0.481

KLiLuF5 | PBE | relaxed

Symmetry ... P2_1/c
Formation enthalpy at 0 K ... -3.82 eV per atom

Unit cell a=6.416 b=6.239 c=11.725 alpha=90.00 beta=90.00 gamma=114.21
Atoms (fractional coordinates):
F: 0.536 0.033 0.103
F: 0.047 0.330 0.493
F: 0.536 0.533 0.397
F: 0.664 0.953 0.531
F: 0.464 0.467 0.603
F: 0.722 0.278 0.691
F: 0.464 0.967 0.897
F: 0.953 0.670 0.507
F: 0.336 0.047 0.469
F: 0.336 0.547 0.031
F: 0.047 0.830 0.007
F: 0.285 0.773 0.671
F: 0.285 0.273 0.829
F: 0.722 0.778 0.809
F: 0.715 0.727 0.171
F: 0.953 0.170 0.993
F: 0.278 0.222 0.191
F: 0.664 0.453 0.969
F: 0.278 0.722 0.309
F: 0.715 0.227 0.329
Li: 0.559 0.463 0.755
Li: 0.441 0.537 0.245
Li: 0.559 0.963 0.745
Li: 0.441 0.037 0.255
K: 0.947 0.963 0.349
K: 0.053 0.037 0.651
K: 0.053 0.537 0.849
K: 0.947 0.463 0.151
Lu: 0.681 0.320 0.502
Lu: 0.319 0.680 0.498
Lu: 0.319 0.180 0.002
Lu: 0.681 0.820 0.998

Sr2GaGeN | PBE | relaxed

Symmetry ... P2_1/m
Formation enthalpy at 0 K ... -0.73 eV per atom

Unit cell a=4.103 b=6.962 c=8.816 alpha=108.57 beta=90.00 gamma=90.00
Atoms (fractional coordinates):
Ge: 0.250 0.823 0.700
Ge: 0.750 0.177 0.300
Sr: 0.250 0.298 0.034
Sr: 0.750 0.685 0.378
Sr: 0.250 0.315 0.622
Sr: 0.750 0.702 0.966
N: 0.250 0.676 0.171
N: 0.750 0.324 0.829
Ga: 0.250 0.963 0.248
Ga: 0.750 0.037 0.752

VP | PBE | relaxed

Symmetry ... P6_3/mmc
Formation enthalpy at 0 K ... -0.81 eV per atom

Unit cell a=3.150 b=3.150 c=6.238 alpha=90.00 beta=90.00 gamma=120.00
Atoms (fractional coordinates):
V: 0.000 0.000 0.000
V: 0.000 0.000 0.500
P: 0.333 0.667 0.750
P: 0.667 0.333 0.250

GdH6C2ClO7 | PBE | relaxed

Symmetry ... P2_1/c
Formation enthalpy at 0 K ... -1.72 eV per atom

Unit cell a=5.940 b=16.316 c=8.919 alpha=90.00 beta=116.14 gamma=90.00
Atoms (fractional coordinates):
O: 0.422 0.094 0.063
O: 0.578 0.918 0.640
O: 0.073 0.636 0.393
O: 0.143 0.295 0.928
O: 0.201 0.477 0.982
O: 0.578 0.906 0.937
O: 0.769 0.974 0.182
O: 0.914 0.145 0.621
O: 0.086 0.645 0.879
O: 0.799 0.523 0.018
O: 0.231 0.026 0.818
O: 0.578 0.582 0.140
O: 0.231 0.474 0.318
O: 0.201 0.023 0.482
O: 0.799 0.977 0.518
O: 0.769 0.526 0.682
O: 0.086 0.855 0.379
O: 0.422 0.082 0.360
O: 0.422 0.406 0.563
O: 0.422 0.418 0.860
O: 0.143 0.205 0.428
O: 0.073 0.864 0.893
O: 0.914 0.355 0.121
O: 0.857 0.705 0.072
O: 0.857 0.795 0.572
O: 0.578 0.594 0.437
O: 0.927 0.364 0.607
O: 0.927 0.136 0.107
H: 0.744 0.784 0.453
H: 0.253 0.203 0.373
H: 0.909 0.624 0.391
H: 0.820 0.177 0.668
H: 0.253 0.297 0.873
H: 0.967 0.608 0.789
H: 0.744 0.716 0.953
H: 0.091 0.376 0.609
H: 0.033 0.392 0.211
H: 0.832 0.171 0.009
H: 0.168 0.829 0.991
H: 0.033 0.108 0.711
H: 0.909 0.876 0.891
H: 0.180 0.823 0.332
H: 0.747 0.703 0.127
H: 0.091 0.124 0.109
H: 0.256 0.284 0.047
H: 0.256 0.216 0.547
H: 0.820 0.323 0.168
H: 0.832 0.329 0.509
H: 0.967 0.892 0.289
H: 0.168 0.671 0.491
H: 0.180 0.677 0.832
H: 0.747 0.797 0.627
Cl: 0.415 0.739 0.716
Cl: 0.585 0.239 0.784
Cl: 0.415 0.761 0.216
Cl: 0.585 0.261 0.284
C: 0.607 0.969 0.545
C: 0.401 0.035 0.966
C: 0.599 0.965 0.034
C: 0.607 0.531 0.045
C: 0.393 0.031 0.455
C: 0.599 0.535 0.534
C: 0.393 0.469 0.955
C: 0.401 0.465 0.466
Gd: 0.804 0.103 0.334
Gd: 0.196 0.897 0.666
Gd: 0.804 0.397 0.834
Gd: 0.196 0.603 0.166

WS9Cl4 | PBE | relaxed

Symmetry ... P-42_1c
Formation enthalpy at 0 K ... -0.84 eV per atom

Unit cell a=18.240 b=18.240 c=11.347 alpha=90.00 beta=90.00 gamma=90.00
Atoms (fractional coordinates):
S: 0.462 0.156 0.718
S: 0.762 0.982 0.162
S: 0.437 0.335 0.782
S: 0.844 0.462 0.282
S: 0.959 0.631 0.517
S: 0.165 0.063 0.282
S: 0.518 0.738 0.662
S: 0.516 0.309 0.047
S: 0.018 0.762 0.838
S: 0.208 0.799 0.238
S: 0.382 0.946 0.303
S: 0.908 0.726 0.464
S: 0.701 0.292 0.738
S: 0.369 0.959 0.483
S: 0.799 0.792 0.762
S: 0.131 0.459 0.017
S: 0.631 0.041 0.483
S: 0.592 0.226 0.036
S: 0.541 0.131 0.983
S: 0.630 0.518 0.106
S: 0.238 0.018 0.162
S: 0.726 0.092 0.536
S: 0.656 0.962 0.218
S: 0.618 0.054 0.303
S: 0.130 0.982 0.394
S: 0.792 0.201 0.238
S: 0.408 0.774 0.036
S: 0.446 0.882 0.803
S: 0.063 0.835 0.718
S: 0.738 0.482 0.338
S: 0.309 0.484 0.953
S: 0.982 0.238 0.838
S: 0.665 0.437 0.218
S: 0.882 0.554 0.197
S: 0.018 0.130 0.606
S: 0.484 0.691 0.047
S: 0.156 0.538 0.282
S: 0.274 0.908 0.536
S: 0.691 0.516 0.953
S: 0.226 0.408 0.964
S: 0.984 0.809 0.453
S: 0.982 0.870 0.606
S: 0.554 0.118 0.803
S: 0.191 0.984 0.547
S: 0.344 0.038 0.218
S: 0.482 0.630 0.894
S: 0.482 0.262 0.662
S: 0.041 0.369 0.517
S: 0.946 0.618 0.697
S: 0.016 0.191 0.453
S: 0.292 0.299 0.262
S: 0.092 0.274 0.464
S: 0.962 0.344 0.782
S: 0.937 0.165 0.718
S: 0.563 0.665 0.782
S: 0.299 0.708 0.738
S: 0.870 0.018 0.394
S: 0.774 0.592 0.964
S: 0.262 0.518 0.338
S: 0.538 0.844 0.718
S: 0.809 0.016 0.547
S: 0.335 0.563 0.218
S: 0.038 0.656 0.782
S: 0.708 0.701 0.262
S: 0.835 0.937 0.282
S: 0.054 0.382 0.697
S: 0.201 0.208 0.762
S: 0.370 0.482 0.106
S: 0.869 0.541 0.017
S: 0.118 0.446 0.197
S: 0.518 0.370 0.894
S: 0.459 0.869 0.983
Cl: 0.381 0.562 0.597
Cl: 0.349 0.704 0.444
Cl: 0.211 0.547 0.656
Cl: 0.821 0.311 0.503
Cl: 0.619 0.438 0.597
Cl: 0.789 0.453 0.656
Cl: 0.811 0.321 0.003
Cl: 0.938 0.119 0.097
Cl: 0.047 0.711 0.156
Cl: 0.062 0.881 0.097
Cl: 0.547 0.789 0.344
Cl: 0.849 0.796 0.056
Cl: 0.311 0.179 0.497
Cl: 0.151 0.204 0.056
Cl: 0.321 0.189 0.997
Cl: 0.438 0.381 0.403
Cl: 0.704 0.651 0.556
Cl: 0.453 0.211 0.344
Cl: 0.651 0.296 0.444
Cl: 0.179 0.689 0.503
Cl: 0.204 0.849 0.944
Cl: 0.881 0.938 0.903
Cl: 0.296 0.349 0.556
Cl: 0.711 0.953 0.844
Cl: 0.189 0.679 0.003
Cl: 0.289 0.047 0.844
Cl: 0.679 0.811 0.997
Cl: 0.689 0.821 0.497
Cl: 0.953 0.289 0.156
Cl: 0.796 0.151 0.944
Cl: 0.119 0.062 0.903
Cl: 0.562 0.619 0.403
W: 0.142 0.784 0.088
W: 0.858 0.216 0.088
W: 0.216 0.142 0.912
W: 0.358 0.284 0.412
W: 0.284 0.642 0.588
W: 0.716 0.358 0.588
W: 0.784 0.858 0.912
W: 0.642 0.716 0.412

SiAg2P2 | PBE | relaxed

Symmetry ... I-42d
Formation enthalpy at 0 K ... -0.07 eV per atom

Unit cell a=6.333 b=6.333 c=6.333 alpha=117.13 beta=117.13 gamma=95.05
Atoms (fractional coordinates):
Si: 0.750 0.250 0.500
Si: 0.000 0.000 0.000
P: 0.875 0.955 0.580
P: 0.705 0.125 0.080
P: 0.375 0.295 0.420
P: 0.045 0.625 0.920
Ag: 0.321 0.125 0.696
Ag: 0.429 0.625 0.304
Ag: 0.375 0.679 0.804
Ag: 0.875 0.571 0.196

Y2O3 | PBE | relaxed

Symmetry ... P-4m2
Formation enthalpy at 0 K ... -3.71 eV per atom

Unit cell a=3.806 b=3.806 c=5.557 alpha=90.00 beta=90.00 gamma=90.00
Atoms (fractional coordinates):
O: 0.000 0.000 0.000
O: 0.000 0.000 0.500
O: 0.500 0.500 0.000
Y: 0.000 0.500 0.211
Y: 0.500 0.000 0.789

MnRh | PBE | relaxed

Symmetry ... Pm-3m
Formation enthalpy at 0 K ... -0.18 eV per atom

Unit cell a=3.045 b=3.045 c=3.045 alpha=90.00 beta=90.00 gamma=90.00
Atoms (fractional coordinates):
Rh: 0.500 0.500 0.500
Mn: 0.000 0.000 0.000

ZnBi4O9 | PBE | relaxed

Symmetry ... P2/c
Formation enthalpy at 0 K ... -1.45 eV per atom

Unit cell a=5.824 b=8.163 c=11.313 alpha=50.93 beta=90.00 gamma=90.00
Atoms (fractional coordinates):
O: 0.634 0.871 0.120
O: 0.520 0.269 0.570
O: 0.444 0.500 0.250
O: 0.953 0.724 0.467
O: 0.520 0.731 0.930
O: 0.047 0.724 0.967
O: 0.110 0.816 0.202
O: 0.480 0.269 0.070
O: 0.953 0.276 0.033
O: 0.047 0.276 0.533
O: 0.634 0.129 0.380
O: 0.366 0.871 0.620
O: 0.890 0.184 0.798
O: 0.890 0.816 0.702
O: 0.366 0.129 0.880
O: 0.556 0.500 0.750
O: 0.480 0.731 0.430
O: 0.110 0.184 0.298
Bi: 0.751 0.397 0.137
Bi: 0.310 0.802 0.055
Bi: 0.751 0.603 0.363
Bi: 0.310 0.198 0.445
Bi: 0.249 0.397 0.637
Bi: 0.690 0.198 0.945
Bi: 0.249 0.603 0.863
Bi: 0.690 0.802 0.555
Zn: 0.196 0.000 0.250
Zn: 0.804 0.000 0.750

LiMnTe2 | PBE | relaxed

Symmetry ... P3m1
Formation enthalpy at 0 K ... -0.52 eV per atom

Unit cell a=4.241 b=4.241 c=7.213 alpha=90.00 beta=90.00 gamma=120.00
Atoms (fractional coordinates):
Te: 0.333 0.667 0.510
Te: 0.000 0.000 0.997
Li: 0.667 0.333 0.797
Mn: 0.000 0.000 0.349

K3SnHF8 | PBE | relaxed

Symmetry ... C2/c
Formation enthalpy at 0 K ... -2.89 eV per atom

Unit cell a=8.449 b=8.449 c=6.960 alpha=88.71 beta=88.71 gamma=115.16
Atoms (fractional coordinates):
F: 0.785 0.145 0.965
F: 0.601 0.963 0.313
F: 0.397 0.359 0.985
F: 0.399 0.037 0.687
F: 0.037 0.399 0.187
F: 0.037 0.963 0.750
F: 0.145 0.785 0.465
F: 0.963 0.601 0.813
F: 0.641 0.603 0.515
F: 0.855 0.215 0.535
F: 0.963 0.037 0.250
F: 0.215 0.855 0.035
F: 0.603 0.641 0.015
F: 0.359 0.397 0.485
F: 0.318 0.682 0.750
F: 0.682 0.318 0.250
K: 0.678 0.875 0.721
K: 0.345 0.655 0.250
K: 0.125 0.322 0.779
K: 0.322 0.125 0.279
K: 0.655 0.345 0.750
K: 0.875 0.678 0.221
H: 0.500 0.500 0.000
H: 0.500 0.500 0.500
Sn: 0.178 0.822 0.750
Sn: 0.822 0.178 0.250

HoGa5Co | PBE | relaxed

Symmetry ... P4/mmm
Formation enthalpy at 0 K ... -0.47 eV per atom

Unit cell a=4.221 b=4.221 c=6.824 alpha=90.00 beta=90.00 gamma=90.00
Atoms (fractional coordinates):
Ga: 0.500 0.000 0.689
Ga: 0.000 0.500 0.689
Ga: 0.500 0.500 0.000
Ga: 0.000 0.500 0.311
Ga: 0.500 0.000 0.311
Ho: 0.000 0.000 0.000
Co: 0.000 0.000 0.500